# 1
A relaxed SrCaTbFeO6 crystal. Source: Materials Project, functional GGA+U.

Properties
Calculated volume = 13.33 Å³ per atom
Raw total energy = -6.639 eV/atom
Energy of formation = -2.628 eV/atom

Cell lengths 8.1094, 8.1094, 8.1094 Å; angles 90.00, 90.00, 90.00 degrees
Space group F-43m (No. 216)
One atom of each set of equivalent atoms:
Sr1 0.0000 0.0000 0.0000 (multiplicity 4)
Ca1 0.0000 0.0000 0.5000 (multiplicity 4)
Tb1 0.2500 0.2500 0.2500 (multiplicity 4)
Fe1 0.2500 0.2500 0.7500 (multiplicity 4)
O1 0.0194 0.2500 0.7500 (multiplicity 24)

=====

# 2
A relaxed SrCaZrFeO6 crystal. Source: Materials Project, functional GGA+U.

Properties
Calculated volume = 13.02 Å³ per atom
Raw total energy = -7.245 eV/atom
Energy of formation = -2.843 eV/atom

Cell lengths 8.0446, 8.0446, 8.0446 Å; angles 90.00, 90.00, 90.00 degrees
Space group F-43m (No. 216)
One atom of each set of equivalent atoms:
Sr1 0.0000 0.0000 0.0000 (multiplicity 4)
Ca1 0.0000 0.0000 0.5000 (multiplicity 4)
Zr1 0.2500 0.2500 0.2500 (multiplicity 4)
Fe1 0.2500 0.2500 0.7500 (multiplicity 4)
O1 0.0077 0.2500 0.7500 (multiplicity 24)